(1)
A relaxed structure of YZnSn. Source: the Materials Project database, functional PBE.

V   284.1 Å³ per cell

abc: 4.511 4.511 16.119
angles: 90.00 90.00 120.00
Element x y z (fractional)
Y 0.000 0.000 0.000
Y 0.000 0.000 0.250
Y 0.000 0.000 0.500
Y 0.000 0.000 0.750
Zn 0.333 0.667 0.161
Zn 0.333 0.667 0.339
Zn 0.667 0.333 0.661
Zn 0.667 0.333 0.839
Sn 0.333 0.667 0.614
Sn 0.333 0.667 0.886
Sn 0.667 0.333 0.114
Sn 0.667 0.333 0.386


(2)
A relaxed structure of Na10Sc4Al4Si5S7O48. Source: the Materials Project database, functional PBE.

V   3013.5 Å³ per cell
Spin magnetization   0.00 μB per formula unit

abc: 8.864 15.297 22.227
angles: 89.09 89.63 89.87
Element x y z (fractional)
Na 0.000 0.000 0.000
Na 0.000 0.333 0.331
Na 0.057 0.974 0.673
Na 0.176 0.810 0.515
Na 0.188 0.171 0.504
Na 0.225 0.833 0.830
Na 0.235 0.498 0.498
Na 0.332 0.315 0.097
Na 0.351 0.644 0.419
Na 0.362 0.000 0.254
Na 0.367 0.992 0.756
Na 0.376 0.650 0.921
Na 0.380 0.320 0.591
Na 0.508 0.831 0.331
Na 0.509 0.497 0.999
Na 0.541 0.168 0.011
Na 0.548 0.479 0.671
Na 0.552 0.817 0.014
Na 0.674 0.976 0.170
Na 0.677 0.318 0.512
Na 0.691 0.669 0.507
Na 0.722 0.665 0.165
Na 0.727 0.000 0.497
Na 0.728 0.331 0.830
Na 0.854 0.148 0.418
Na 0.865 0.822 0.087
Na 0.871 0.494 0.752
Na 0.878 0.819 0.588
Na 0.883 0.485 0.260
Na 0.890 0.149 0.925
Sc 0.353 0.328 0.943
Sc 0.358 0.996 0.604
Sc 0.363 0.005 0.907
Sc 0.367 0.658 0.773
Sc 0.371 0.005 0.402
Sc 0.847 0.501 0.904
Sc 0.853 0.167 0.571
Sc 0.858 0.831 0.236
Sc 0.860 0.833 0.945
Sc 0.866 0.163 0.774
Sc 0.871 0.487 0.114
Sc 0.882 0.827 0.735
Al 0.327 0.334 0.239
Al 0.351 0.657 0.569
Al 0.354 0.657 0.274
Al 0.375 0.663 0.075
Al 0.375 0.993 0.109
Al 0.382 0.332 0.737
Al 0.386 0.342 0.440
Al 0.849 0.496 0.604
Al 0.855 0.158 0.273
Al 0.879 0.509 0.407
Al 0.880 0.834 0.441
Al 0.884 0.164 0.071
Si 0.007 0.298 0.177
Si 0.008 0.639 0.507
Si 0.018 0.980 0.840
Si 0.065 0.993 0.505
Si 0.216 0.477 0.341
Si 0.218 0.139 0.014
Si 0.227 0.805 0.670
Si 0.494 0.807 0.175
Si 0.507 0.151 0.503
Si 0.507 0.474 0.839
Si 0.579 0.498 0.505
Si 0.661 0.001 0.013
Si 0.710 0.641 0.014
Si 0.717 0.318 0.673
Si 0.727 0.979 0.339
S 0.011 0.356 0.505
S 0.013 0.680 0.841
S 0.015 0.021 0.172
S 0.080 0.330 0.835
S 0.088 0.661 0.172
S 0.158 0.824 0.340
S 0.162 0.500 0.009
S 0.169 0.169 0.674
S 0.212 0.513 0.670
S 0.220 0.189 0.338
S 0.225 0.844 0.011
S 0.498 0.515 0.176
S 0.506 0.185 0.837
S 0.515 0.844 0.504
S 0.571 0.828 0.840
S 0.575 0.165 0.174
S 0.649 0.328 0.337
S 0.658 0.660 0.667
S 0.714 0.013 0.673
S 0.720 0.679 0.341
S 0.724 0.344 0.007
O 0.028 0.482 0.350
O 0.036 0.150 0.018
O 0.040 0.818 0.670
O 0.049 0.505 0.662
O 0.053 0.181 0.335
O 0.059 0.837 0.006
O 0.062 0.832 0.287
O 0.063 0.152 0.725
O 0.065 0.813 0.396
O 0.067 0.485 0.062
O 0.072 0.509 0.954
O 0.085 0.181 0.617
O 0.161 0.972 0.567
O 0.166 0.317 0.892
O 0.177 0.345 0.500
O 0.178 0.652 0.227
O 0.180 0.011 0.167
O 0.180 0.675 0.837
O 0.181 0.010 0.450
O 0.181 0.335 0.782
O 0.184 0.666 0.118
O 0.192 0.653 0.516
O 0.193 0.311 0.182
O 0.203 0.981 0.842
O 0.234 0.081 0.952
O 0.239 0.411 0.285
O 0.241 0.566 0.724
O 0.251 0.239 0.394
O 0.256 0.744 0.337
O 0.256 0.902 0.062
O 0.257 0.901 0.343
O 0.258 0.579 0.015
O 0.263 0.247 0.683
O 0.264 0.089 0.672
O 0.266 0.423 0.006
O 0.273 0.745 0.612
O 0.281 0.762 0.734
O 0.284 0.424 0.678
O 0.287 0.232 0.285
O 0.288 0.100 0.339
O 0.291 0.552 0.616
O 0.291 0.755 0.020
O 0.292 0.431 0.401
O 0.294 0.574 0.328
O 0.295 0.879 0.955
O 0.295 0.905 0.668
O 0.301 0.085 0.068
O 0.305 0.234 0.007
O 0.423 0.107 0.561
O 0.424 0.246 0.491
O 0.424 0.907 0.168
O 0.433 0.427 0.183
O 0.434 0.755 0.237
O 0.436 0.571 0.835
O 0.437 0.553 0.118
O 0.441 0.097 0.838
O 0.443 0.231 0.784
O 0.444 0.881 0.450
O 0.448 0.755 0.514
O 0.450 0.429 0.903
O 0.466 0.575 0.226
O 0.466 0.584 0.515
O 0.469 0.412 0.497
O 0.469 0.413 0.782
O 0.469 0.750 0.838
O 0.470 0.744 0.117
O 0.475 0.233 0.893
O 0.476 0.907 0.842
O 0.479 0.084 0.171
O 0.482 0.244 0.184
O 0.494 0.901 0.556
O 0.499 0.080 0.449
O 0.522 0.649 0.018
O 0.530 0.328 0.680
O 0.541 0.981 0.342
O 0.548 0.337 0.285
O 0.550 0.006 0.669
O 0.552 0.673 0.337
O 0.554 0.977 0.072
O 0.557 0.020 0.954
O 0.557 0.336 0.003
O 0.561 0.317 0.395
O 0.562 0.668 0.613
O 0.563 0.644 0.722
O 0.659 0.817 0.896
O 0.663 0.176 0.118
O 0.666 0.509 0.173
O 0.669 0.833 0.786
O 0.673 0.180 0.833
O 0.674 0.475 0.566
O 0.679 0.146 0.226
O 0.682 0.832 0.497
O 0.684 0.816 0.177
O 0.690 0.164 0.510
O 0.695 0.478 0.840
O 0.698 0.515 0.449
O 0.733 0.576 0.956
O 0.747 0.259 0.614
O 0.748 0.248 0.334
O 0.748 0.740 0.673
O 0.750 0.405 0.342
O 0.751 0.736 0.393
O 0.752 0.066 0.725
O 0.752 0.403 0.057
O 0.753 0.918 0.279
O 0.757 0.582 0.664
O 0.766 0.088 0.023
O 0.772 0.916 0.007
O 0.778 0.739 0.004
O 0.779 0.596 0.074
O 0.783 0.052 0.617
O 0.783 0.925 0.677
O 0.784 0.717 0.284
O 0.786 0.272 0.734
O 0.787 0.255 0.015
O 0.789 0.380 0.950
O 0.789 0.591 0.348
O 0.794 0.416 0.665
O 0.795 0.925 0.398
O 0.805 0.075 0.329
O 0.921 0.592 0.564
O 0.930 0.737 0.494
O 0.933 0.398 0.172
O 0.937 0.252 0.238
O 0.938 0.076 0.835
O 0.940 0.393 0.450
O 0.942 0.059 0.118
O 0.946 0.931 0.177
O 0.947 0.266 0.511
O 0.949 0.718 0.786
O 0.952 0.590 0.846
O 0.955 0.931 0.901
O 0.958 0.906 0.498
O 0.962 0.081 0.512
O 0.966 0.242 0.118
O 0.976 0.253 0.833
O 0.977 0.732 0.894
O 0.979 0.072 0.226
O 0.980 0.410 0.558
O 0.983 0.918 0.780
O 0.986 0.584 0.171
O 0.987 0.410 0.839
O 0.991 0.740 0.173
O 0.999 0.576 0.449


(3)
A relaxed structure of Ho4Fe. Source: the Materials Project database, functional PBE.

V   280.0 Å³ per cell
Spin magnetization   0.00 μB per formula unit

abc: 7.343 7.343 7.343
angles: 60.00 60.00 60.00
Element x y z (fractional)
Ho 0.220 0.760 0.760
Ho 0.240 0.240 0.240
Ho 0.240 0.240 0.780
Ho 0.240 0.780 0.240
Ho 0.760 0.220 0.760
Ho 0.760 0.760 0.220
Ho 0.760 0.760 0.760
Ho 0.780 0.240 0.240
Fe 0.375 0.375 0.375
Fe 0.625 0.625 0.625


(4)
A relaxed structure of Ca2P2H8O11. Source: the Materials Project database, functional PBE.

V   989.9 Å³ per cell
Spin magnetization   0.00 μB per formula unit

abc: 5.973 25.275 6.965
angles: 90.00 109.72 90.00
Element x y z (fractional)
Ca 0.106 0.205 0.102
Ca 0.106 0.295 0.602
Ca 0.195 0.542 0.895
Ca 0.195 0.958 0.395
Ca 0.805 0.042 0.605
Ca 0.805 0.458 0.105
Ca 0.894 0.705 0.398
Ca 0.894 0.795 0.898
P 0.076 0.167 0.590
P 0.076 0.333 0.090
P 0.193 0.081 0.355
P 0.193 0.419 0.855
P 0.807 0.581 0.145
P 0.807 0.919 0.645
P 0.924 0.667 0.910
P 0.924 0.833 0.410
H 0.197 0.074 0.988
H 0.197 0.426 0.488
H 0.213 0.577 0.489
H 0.213 0.923 0.989
H 0.242 0.013 0.956
H 0.242 0.487 0.456
H 0.283 0.671 0.746
H 0.283 0.829 0.246
H 0.383 0.732 0.195
H 0.383 0.768 0.695
H 0.387 0.673 0.130
H 0.387 0.827 0.630
H 0.466 0.687 0.635
H 0.466 0.813 0.135
H 0.480 0.557 0.604
H 0.480 0.943 0.104
H 0.520 0.057 0.896
H 0.520 0.443 0.396
H 0.534 0.187 0.865
H 0.534 0.313 0.365
H 0.613 0.173 0.370
H 0.613 0.327 0.870
H 0.617 0.232 0.305
H 0.617 0.268 0.805
H 0.717 0.171 0.754
H 0.717 0.329 0.254
H 0.758 0.513 0.544
H 0.758 0.987 0.044
H 0.787 0.077 0.011
H 0.787 0.423 0.511
H 0.803 0.574 0.512
H 0.803 0.926 0.012
O 0.001 0.544 0.130
O 0.001 0.956 0.630
O 0.035 0.210 0.426
O 0.035 0.290 0.926
O 0.110 0.113 0.156
O 0.110 0.387 0.656
O 0.154 0.637 0.920
O 0.154 0.863 0.420
O 0.212 0.189 0.802
O 0.212 0.311 0.302
O 0.215 0.048 0.886
O 0.215 0.452 0.386
O 0.255 0.123 0.544
O 0.255 0.377 0.044
O 0.301 0.692 0.633
O 0.301 0.808 0.133
O 0.310 0.552 0.592
O 0.310 0.948 0.092
O 0.421 0.050 0.388
O 0.421 0.450 0.888
O 0.485 0.701 0.221
O 0.485 0.799 0.721
O 0.515 0.201 0.279
O 0.515 0.299 0.779
O 0.579 0.550 0.112
O 0.579 0.950 0.612
O 0.690 0.052 0.908
O 0.690 0.448 0.408
O 0.699 0.192 0.867
O 0.699 0.308 0.367
O 0.745 0.623 0.956
O 0.745 0.877 0.456
O 0.785 0.548 0.614
O 0.785 0.952 0.114
O 0.788 0.689 0.698
O 0.788 0.811 0.198
O 0.846 0.137 0.580
O 0.846 0.363 0.080
O 0.890 0.613 0.344
O 0.890 0.887 0.844
O 0.965 0.710 0.074
O 0.965 0.790 0.574
O 0.999 0.044 0.370
O 0.999 0.456 0.870


(5)
A relaxed structure of MgSi. Source: the Materials Project database, functional PBE.

V   443.4 Å³ per cell
Spin magnetization   0.00 μB per formula unit

abc: 5.390 5.869 14.043
angles: 90.00 93.59 90.00
Element x y z (fractional)
Mg 0.008 0.000 0.064
Mg 0.099 0.076 0.597
Mg 0.207 0.577 0.595
Mg 0.231 0.143 0.261
Mg 0.384 0.636 0.275
Mg 0.491 0.965 0.933
Mg 0.509 0.465 0.067
Mg 0.616 0.136 0.725
Mg 0.769 0.643 0.739
Mg 0.793 0.077 0.405
Mg 0.901 0.576 0.403
Mg 0.992 0.500 0.936
Si 0.028 0.479 0.131
Si 0.144 0.291 0.771
Si 0.265 0.779 0.772
Si 0.322 0.889 0.442
Si 0.325 0.307 0.442
Si 0.484 0.458 0.872
Si 0.516 0.958 0.128
Si 0.675 0.807 0.558
Si 0.678 0.389 0.558
Si 0.735 0.279 0.228
Si 0.856 0.791 0.229
Si 0.972 0.979 0.869


(6)
A relaxed structure of EuCu2O4. Source: the Materials Project database, functional PBE.

V   165.4 Å³ per cell

abc: 6.364 6.364 6.364
angles: 125.33 125.33 81.00
Element x y z (fractional)
Eu 0.375 0.125 0.250
Eu 0.625 0.875 0.750
Cu 0.000 0.000 0.500
Cu 0.000 0.500 0.000
Cu 0.000 0.500 0.500
Cu 0.500 0.500 0.000
O 0.028 0.147 0.327
O 0.202 0.528 0.381
O 0.320 0.702 0.173
O 0.353 0.180 0.881
O 0.647 0.820 0.119
O 0.680 0.298 0.827
O 0.798 0.472 0.619
O 0.972 0.853 0.673


| no. | uncorrected energy (eV/atom) | energy of formation (meV per atom) |
| --- | --- | --- |
| 1 | -4.518 | -606 |
| 2 | -6.705 | -2678 |
| 3 | -4.935 | 425 |
| 4 | -6.053 | -2190 |
| 5 | -3.469 | 79 |
| 6 | -6.882 | -1811 |